1.
# U3Te4

A relaxed structure of U3Te4 (PBE-GGA, the Materials Project database).

**Calculated formation energy**: -0.819 eV per atom
**Crystal system**: cubic

abc: 8.039 8.039 8.039
angles: 109.47 109.47 109.47
Element x y z (fractional)
U: 0.125 0.875 0.250
U: 0.250 0.125 0.875
U: 0.375 0.625 0.750
U: 0.625 0.750 0.375
U: 0.750 0.375 0.625
U: 0.875 0.250 0.125
Te: 0.000 0.155 0.500
Te: 0.000 0.655 0.500
Te: 0.155 0.500 0.000
Te: 0.345 0.345 0.345
Te: 0.500 0.000 0.155
Te: 0.500 0.000 0.655
Te: 0.655 0.500 0.000
Te: 0.845 0.845 0.845



2.
# Na2LaGaSiS2O12

A relaxed structure of Na2LaGaSiS2O12 (PBE-GGA, the Materials Project database).

**Calculated formation energy**: -2.475 eV per atom
**Crystal system**: triclinic
**Magnetization**: 0.00 μB per formula unit

abc: 9.133 9.135 23.541
angles: 88.87 88.03 60.29
Element x y z (fractional)
Na: 0.000 0.000 0.000
Na: 0.003 0.983 0.498
Na: 0.024 0.326 0.905
Na: 0.306 0.711 0.569
Na: 0.319 0.357 0.838
Na: 0.329 0.342 0.324
Na: 0.355 0.655 0.244
Na: 0.643 0.331 0.398
Na: 0.650 0.680 0.163
Na: 0.684 0.657 0.673
Na: 0.961 0.724 0.085
Na: 0.973 0.657 0.759
La: 0.001 0.007 0.339
La: 0.292 0.380 0.477
La: 0.294 0.352 0.693
La: 0.306 0.389 0.988
La: 0.668 0.695 0.518
La: 0.974 0.040 0.658
Ga: 0.367 0.361 0.179
Ga: 0.624 0.711 0.012
Ga: 0.661 0.650 0.308
Ga: 0.665 0.679 0.824
Ga: 0.982 0.011 0.855
Ga: 0.998 0.047 0.152
Si: 0.004 0.675 0.594
Si: 0.313 0.684 0.089
Si: 0.363 0.696 0.413
Si: 0.691 0.317 0.248
Si: 0.917 0.713 0.919
Si: 0.966 0.327 0.768
S: 0.017 0.359 0.088
S: 0.291 0.732 0.761
S: 0.300 0.034 0.241
S: 0.317 0.047 0.583
S: 0.357 0.972 0.915
S: 0.618 0.352 0.583
S: 0.624 0.060 0.088
S: 0.647 0.992 0.407
S: 0.659 0.406 0.919
S: 0.682 0.012 0.764
S: 0.948 0.396 0.405
S: 0.988 0.695 0.243
O: 0.008 0.853 0.587
O: 0.032 0.763 0.293
O: 0.092 0.585 0.655
O: 0.101 0.537 0.923
O: 0.102 0.327 0.030
O: 0.120 0.374 0.131
O: 0.122 0.367 0.399
O: 0.124 0.566 0.539
O: 0.130 0.358 0.772
O: 0.139 0.525 0.233
O: 0.141 0.868 0.104
O: 0.158 0.042 0.579
O: 0.161 0.826 0.807
O: 0.173 0.858 0.412
O: 0.184 0.992 0.913
O: 0.202 0.998 0.199
O: 0.209 0.070 0.298
O: 0.231 0.815 0.705
O: 0.243 0.618 0.037
O: 0.308 0.561 0.760
O: 0.313 0.139 0.635
O: 0.318 0.182 0.227
O: 0.338 0.144 0.915
O: 0.342 0.125 0.531
O: 0.359 0.552 0.143
O: 0.360 0.516 0.408
O: 0.430 0.882 0.969
O: 0.446 0.693 0.474
O: 0.455 0.870 0.590
O: 0.456 0.720 0.771
O: 0.463 0.879 0.865
O: 0.465 0.873 0.244
O: 0.481 0.688 0.355
O: 0.486 0.694 0.070
O: 0.491 0.160 0.402
O: 0.496 0.350 0.240
O: 0.512 0.150 0.138
O: 0.514 0.375 0.920
O: 0.517 0.168 0.765
O: 0.528 0.334 0.634
O: 0.536 0.350 0.530
O: 0.548 0.156 0.036
O: 0.611 0.518 0.588
O: 0.640 0.504 0.866
O: 0.640 0.889 0.086
O: 0.644 0.918 0.463
O: 0.659 0.501 0.970
O: 0.659 0.861 0.770
O: 0.660 0.516 0.249
O: 0.665 0.883 0.359
O: 0.749 0.234 0.311
O: 0.771 0.987 0.708
O: 0.786 0.020 0.809
O: 0.793 0.025 0.409
O: 0.795 0.215 0.580
O: 0.796 0.037 0.093
O: 0.799 0.521 0.768
O: 0.802 0.732 0.979
O: 0.818 0.242 0.919
O: 0.818 0.694 0.594
O: 0.830 0.198 0.200
O: 0.831 0.686 0.256
O: 0.836 0.680 0.863
O: 0.850 0.505 0.358
O: 0.851 0.518 0.086
O: 0.876 0.475 0.461
O: 0.945 0.235 0.406
O: 0.947 0.880 0.911
O: 0.958 0.806 0.193
O: 0.961 0.254 0.706
O: 0.984 0.196 0.821
O: 0.990 0.211 0.096